Version a
Density functional theory data (PBE+U) for a relaxed Li2MnO2 crystal.

Structure (CIF):
```
data_Li2MnO2
_chemical_formula_sum 'Li4 Mn2 O4'
_space_group_name_H-M_alt 'P 1'
_space_group_IT_number 1
_space_group_name_Hall 'P 1'
_cell_length_a 4.741
_cell_length_b 4.741
_cell_length_c 5.564
_cell_angle_alpha 85.63
_cell_angle_beta 64.78
_cell_angle_gamma 79.68
loop_
_atom_site_label
_atom_site_type_symbol
_atom_site_fract_x
_atom_site_fract_y
_atom_site_fract_z
_atom_site_occupancy
Li1 Li 0.526 0.250 0.447 1
Li2 Li 0.474 0.750 0.553 1
Li3 Li 0.974 0.250 0.553 1
Li4 Li 0.026 0.750 0.447 1
O1 O 0.147 0.500 0.707 1
O2 O 0.353 0.000 0.293 1
O3 O 0.647 0.000 0.707 1
O4 O 0.853 0.500 0.293 1
Mn1 Mn 0.750 0.750 0.000 1
Mn2 Mn 0.250 0.250 0.000 1
```

***

Version b
# Li2MnO2, relaxed, DFT PBE+U
# space-group type	P-3m1
data_Li2MnO2
_chemical_formula_sum 'Li2 Mn1 O2'
_space_group_name_H-M_alt 'P 1'
_space_group_IT_number 1
_space_group_name_Hall 'P 1'
_cell_length_a 3.226
_cell_length_b 3.226
_cell_length_c 5.334
_cell_angle_alpha 90.00
_cell_angle_beta 90.00
_cell_angle_gamma 120.00
loop_
_atom_site_label
_atom_site_type_symbol
_atom_site_fract_x
_atom_site_fract_y
_atom_site_fract_z
_atom_site_occupancy
Li1 Li 0.333 0.667 0.132 1
Li2 Li 0.667 0.333 0.868 1
Mn1 Mn 0.000 0.000 0.500 1
O1 O 0.333 0.667 0.746 1
O2 O 0.667 0.333 0.254 1

***

So which one wins? Going from most stable to least: version b, version a.

***

Version a
# Li5Mn6O12, relaxed, DFT PBE+U
# space-group type	P1
data_Li5Mn6O12
_chemical_formula_sum 'Li5 Mn6 O12'
_space_group_name_H-M_alt 'P 1'
_space_group_IT_number 1
_space_group_name_Hall 'P 1'
_cell_length_a 6.130
_cell_length_b 6.546
_cell_length_c 6.564
_cell_angle_alpha 98.09
_cell_angle_beta 103.63
_cell_angle_gamma 111.56
loop_
_atom_site_label
_atom_site_type_symbol
_atom_site_fract_x
_atom_site_fract_y
_atom_site_fract_z
_atom_site_occupancy
Li1 Li 0.000 0.000 0.000 1
Li2 Li 0.011 0.345 0.339 1
Li3 Li 0.504 0.350 0.345 1
Li4 Li 0.515 0.996 0.990 1
Li5 Li 0.968 0.657 0.669 1
Mn1 Mn 0.258 0.510 0.998 1
Mn2 Mn 0.263 0.182 0.668 1
Mn3 Mn 0.265 0.844 0.336 1
Mn4 Mn 0.757 0.837 0.344 1
Mn5 Mn 0.759 0.170 0.672 1
Mn6 Mn 0.759 0.509 0.006 1
O1 O 0.091 0.388 0.680 1
O2 O 0.150 0.756 0.014 1
O3 O 0.159 0.092 0.352 1
O4 O 0.362 0.594 0.310 1
O5 O 0.371 0.268 0.984 1
O6 O 0.420 0.967 0.656 1
O7 O 0.655 0.755 0.031 1
O8 O 0.656 0.413 0.686 1
O9 O 0.657 0.090 0.359 1
O10 O 0.860 0.256 0.985 1
O11 O 0.876 0.597 0.328 1
O12 O 0.887 0.940 0.659 1

***

Version b
# Li5Mn6O12, relaxed, DFT PBE+U
# space-group type	P-1
data_Li5Mn6O12
_chemical_formula_sum 'Li5 Mn6 O12'
_space_group_name_H-M_alt 'P 1'
_space_group_IT_number 1
_space_group_name_Hall 'P 1'
_cell_length_a 6.142
_cell_length_b 6.552
_cell_length_c 6.557
_cell_angle_alpha 97.80
_cell_angle_beta 103.26
_cell_angle_gamma 112.38
loop_
_atom_site_label
_atom_site_type_symbol
_atom_site_fract_x
_atom_site_fract_y
_atom_site_fract_z
_atom_site_occupancy
Li1 Li 0.000 0.000 0.000 1
Li2 Li 0.003 0.670 0.669 1
Li3 Li 0.499 0.674 0.674 1
Li4 Li 0.501 0.326 0.326 1
Li5 Li 0.997 0.330 0.331 1
Mn1 Mn 0.251 0.838 0.328 1
Mn2 Mn 0.252 0.507 0.997 1
Mn3 Mn 0.253 0.167 0.666 1
Mn4 Mn 0.747 0.833 0.334 1
Mn5 Mn 0.748 0.493 0.003 1
Mn6 Mn 0.749 0.162 0.672 1
O1 O 0.103 0.726 0.012 1
O2 O 0.141 0.082 0.346 1
O3 O 0.151 0.418 0.683 1
O4 O 0.352 0.919 0.640 1
O5 O 0.355 0.589 0.312 1
O6 O 0.376 0.273 0.984 1
O7 O 0.624 0.727 0.016 1
O8 O 0.645 0.411 0.688 1
O9 O 0.648 0.081 0.360 1
O10 O 0.849 0.582 0.317 1
O11 O 0.859 0.918 0.654 1
O12 O 0.897 0.274 0.988 1

***

So which one wins? Going from most stable to least: version a, version b.

***

Version a
# Li4Mn5O10, relaxed, DFT PBE+U
# space-group type	P-1
data_Li4Mn5O10
_chemical_formula_sum 'Li8 Mn10 O20'
_space_group_name_H-M_alt 'P 1'
_space_group_IT_number 1
_space_group_name_Hall 'P 1'
_cell_length_a 6.585
_cell_length_b 7.953
_cell_length_c 7.961
_cell_angle_alpha 95.66
_cell_angle_beta 114.34
_cell_angle_gamma 91.07
loop_
_atom_site_label
_atom_site_type_symbol
_atom_site_fract_x
_atom_site_fract_y
_atom_site_fract_z
_atom_site_occupancy
Li1 Li 0.094 0.092 0.416 1
Li2 Li 0.240 0.750 0.487 1
Li3 Li 0.318 0.299 0.235 1
Li4 Li 0.394 0.404 0.590 1
Li5 Li 0.606 0.596 0.410 1
Li6 Li 0.682 0.701 0.765 1
Li7 Li 0.760 0.250 0.513 1
Li8 Li 0.906 0.908 0.584 1
Mn1 Mn 0.000 0.000 0.000 1
Mn2 Mn 0.043 0.548 0.689 1
Mn3 Mn 0.147 0.652 0.108 1
Mn4 Mn 0.347 0.852 0.882 1
Mn5 Mn 0.461 0.952 0.309 1
Mn6 Mn 0.500 0.500 0.000 1
Mn7 Mn 0.539 0.048 0.691 1
Mn8 Mn 0.653 0.148 0.118 1
Mn9 Mn 0.853 0.348 0.892 1
Mn10 Mn 0.957 0.452 0.311 1
O1 O 0.038 0.773 0.832 1
O2 O 0.056 0.351 0.534 1
O3 O 0.149 0.449 0.935 1
O4 O 0.149 0.875 0.240 1
O5 O 0.250 0.962 0.656 1
O6 O 0.253 0.515 0.346 1
O7 O 0.353 0.072 0.086 1
O8 O 0.365 0.606 0.759 1
O9 O 0.432 0.153 0.466 1
O10 O 0.444 0.739 0.136 1
O11 O 0.556 0.261 0.864 1
O12 O 0.568 0.847 0.534 1
O13 O 0.635 0.394 0.241 1
O14 O 0.647 0.928 0.914 1
O15 O 0.747 0.485 0.654 1
O16 O 0.750 0.038 0.344 1
O17 O 0.851 0.125 0.760 1
O18 O 0.851 0.551 0.065 1
O19 O 0.944 0.649 0.466 1
O20 O 0.962 0.227 0.168 1

***

Version b
# Li4Mn5O10, relaxed, DFT PBE+U
# space-group type	P1
# maximum piezoelectric response	0.308	C/m²
data_Li4Mn5O10
_chemical_formula_sum 'Li4 Mn5 O10'
_space_group_name_H-M_alt 'P 1'
_space_group_IT_number 1
_space_group_name_Hall 'P 1'
_cell_length_a 5.194
_cell_length_b 5.236
_cell_length_c 7.988
_cell_angle_alpha 71.86
_cell_angle_beta 89.29
_cell_angle_gamma 86.53
loop_
_atom_site_label
_atom_site_type_symbol
_atom_site_fract_x
_atom_site_fract_y
_atom_site_fract_z
_atom_site_occupancy
Li1 Li 0.000 0.000 0.000 1
Li2 Li 0.002 0.767 0.408 1
Li3 Li 0.009 0.165 0.619 1
Li4 Li 0.862 0.565 0.006 1
Mn1 Mn 0.417 0.282 0.010 1
Mn2 Mn 0.427 0.696 0.203 1
Mn3 Mn 0.443 0.890 0.810 1
Mn4 Mn 0.446 0.099 0.407 1
Mn5 Mn 0.453 0.492 0.613 1
O1 O 0.216 0.020 0.193 1
O2 O 0.218 0.669 0.998 1
O3 O 0.229 0.202 0.822 1
O4 O 0.236 0.419 0.439 1
O5 O 0.248 0.850 0.602 1
O6 O 0.609 0.354 0.198 1
O7 O 0.620 0.544 0.818 1
O8 O 0.634 0.774 0.390 1
O9 O 0.644 0.143 0.633 1
O10 O 0.657 0.919 0.991 1

***

So which one wins? Going from most stable to least: version a, version b.